Entry from Materials Project: an optimized crystal structure of TlPd5Se (PBE-GGA).

DFT formation energy, eV/f.u.: -2.11
Space-group type: P4/mmm (123)
Calculated total energy, eV per atom: -4.771
Calculated volume, Å³/atom: 17.4

Cell: 4.099 4.099 7.235 Å, 90.00 90.00 90.00°
Positions (direct):
Tl 0.000 0.000 0.000
Pd 0.000 0.500 0.286
Pd 0.000 0.500 0.714
Pd 0.500 0.000 0.286
Pd 0.500 0.000 0.714
Pd 0.500 0.500 0.000
Se 0.500 0.500 0.500